The following is a PBE calculation of an optimized crystal structure of Na7Zn2Ga2P5SO24, from the Materials Project database.

Properties
Spin magnetization = 0.00 Bohr magnetons per cell
Energy of formation from the pure elements = -2.429 eV per atom

Lattice parameters (Å, degrees): 8.902 8.913 21.913 89.73 89.42 60.09
Fractional positions:
Na 0.000 0.000 0.000
Na 0.000 0.253 0.501
Na 0.004 0.617 0.250
Na 0.013 0.628 0.751
Na 0.025 0.927 0.331
Na 0.031 0.289 0.835
Na 0.327 0.956 0.917
Na 0.336 0.596 0.167
Na 0.337 0.966 0.417
Na 0.338 0.325 0.668
Na 0.372 0.254 0.997
Na 0.373 0.627 0.500
Na 0.625 0.000 0.499
Na 0.627 0.626 0.002
Na 0.663 0.657 0.334
Na 0.664 0.938 0.833
Na 0.665 0.293 0.583
Na 0.681 0.294 0.084
Na 0.696 0.591 0.665
Na 0.703 0.960 0.169
Na 0.964 0.964 0.668
Zn 0.330 0.954 0.067
Zn 0.333 0.958 0.568
Zn 0.651 0.294 0.430
Zn 0.662 0.285 0.736
Zn 0.667 0.283 0.931
Zn 0.672 0.292 0.236
Ga 0.005 0.629 0.401
Ga 0.015 0.626 0.901
Ga 0.322 0.964 0.762
Ga 0.343 0.946 0.264
Ga 0.991 0.630 0.098
Ga 0.999 0.627 0.599
P 0.036 0.258 0.665
P 0.038 0.960 0.166
P 0.285 0.340 0.500
P 0.289 0.625 0.001
P 0.331 0.667 0.665
P 0.363 0.294 0.833
P 0.365 0.591 0.332
P 0.627 0.955 0.666
P 0.634 0.661 0.165
P 0.662 0.993 0.333
P 0.711 0.914 0.999
P 0.714 0.624 0.499
P 0.970 0.989 0.833
P 0.998 0.341 0.999
P 0.999 0.917 0.500
S 0.327 0.253 0.166
S 0.663 0.593 0.833
S 0.968 0.292 0.333
O 0.023 0.440 0.661
O 0.027 0.424 0.940
O 0.028 0.786 0.163
O 0.029 0.804 0.442
O 0.114 0.145 0.608
O 0.116 0.987 0.108
O 0.141 0.133 0.325
O 0.151 0.976 0.825
O 0.154 0.177 0.722
O 0.156 0.928 0.223
O 0.163 0.161 0.003
O 0.163 0.652 0.661
O 0.164 0.933 0.503
O 0.166 0.427 0.445
O 0.172 0.430 0.162
O 0.172 0.660 0.946
O 0.176 0.452 0.840
O 0.178 0.617 0.340
O 0.205 0.451 0.559
O 0.206 0.592 0.060
O 0.295 0.790 0.720
O 0.303 0.167 0.220
O 0.304 0.158 0.503
O 0.307 0.789 0.004
O 0.343 0.779 0.326
O 0.348 0.125 0.826
O 0.357 0.150 0.110
O 0.366 0.740 0.606
O 0.440 0.325 0.775
O 0.444 0.484 0.274
O 0.466 0.324 0.496
O 0.470 0.461 0.996
O 0.476 0.257 0.890
O 0.480 0.519 0.389
O 0.484 0.272 0.171
O 0.492 0.485 0.673
O 0.500 0.969 0.325
O 0.510 0.771 0.827
O 0.517 0.989 0.609
O 0.521 0.743 0.108
O 0.529 0.932 0.003
O 0.533 0.788 0.502
O 0.542 0.922 0.723
O 0.552 0.781 0.222
O 0.635 0.097 0.391
O 0.637 0.515 0.889
O 0.644 0.485 0.173
O 0.651 0.115 0.671
O 0.694 0.485 0.778
O 0.695 0.095 0.995
O 0.697 0.459 0.495
O 0.702 0.070 0.276
O 0.797 0.797 0.942
O 0.800 0.652 0.441
O 0.810 0.788 0.661
O 0.813 0.653 0.160
O 0.822 0.611 0.837
O 0.824 0.834 0.057
O 0.826 0.595 0.557
O 0.828 0.805 0.339
O 0.834 0.324 0.995
O 0.835 0.098 0.496
O 0.852 0.113 0.173
O 0.854 0.281 0.674
O 0.855 0.326 0.280
O 0.856 0.066 0.776
O 0.894 0.105 0.890
O 0.894 0.258 0.390
O 0.967 0.459 0.055
O 0.967 0.832 0.557
O 0.979 0.810 0.841
O 0.983 0.451 0.339



The following is a PBE calculation of an optimized crystal structure of Na3Zn2Ga2PS5O24, from the Materials Project database.

Properties
Spin magnetization = 0.00 Bohr magnetons per cell
Energy of formation from the pure elements = -2.067 eV per atom

Lattice parameters (Å, degrees): 8.651 8.659 22.373 89.75 89.89 60.07
Fractional positions:
Na 0.000 0.000 0.000
Na 0.001 0.005 0.500
Na 0.006 0.359 0.749
Na 0.038 0.657 0.585
Na 0.302 0.662 0.082
Na 0.338 0.312 0.167
Na 0.342 0.323 0.666
Na 0.665 0.667 0.834
Na 0.669 0.659 0.333
Zn 0.003 0.997 0.649
Zn 0.005 0.999 0.148
Zn 0.333 0.319 0.516
Zn 0.335 0.333 0.817
Zn 0.337 0.324 0.317
Zn 0.338 0.309 0.016
Ga 0.000 0.983 0.849
Ga 0.001 0.994 0.349
Ga 0.662 0.667 0.983
Ga 0.665 0.668 0.184
Ga 0.673 0.650 0.482
Ga 0.677 0.661 0.683
P 0.001 0.703 0.748
P 0.381 0.950 0.083
P 0.958 0.366 0.583
S 0.000 0.288 0.249
S 0.036 0.325 0.916
S 0.039 0.624 0.416
S 0.296 0.699 0.249
S 0.298 0.987 0.750
S 0.336 0.622 0.917
S 0.337 0.027 0.416
S 0.385 0.659 0.583
S 0.631 0.325 0.416
S 0.632 0.031 0.916
S 0.665 0.950 0.582
S 0.672 0.370 0.083
S 0.709 0.284 0.750
S 0.713 0.991 0.249
S 0.956 0.659 0.083
O 0.018 0.162 0.908
O 0.021 0.805 0.408
O 0.030 0.179 0.196
O 0.031 0.780 0.691
O 0.110 0.358 0.861
O 0.118 0.513 0.363
O 0.137 0.501 0.078
O 0.140 0.359 0.578
O 0.145 0.551 0.471
O 0.147 0.294 0.969
O 0.159 0.307 0.257
O 0.162 0.512 0.756
O 0.173 0.009 0.408
O 0.174 0.804 0.910
O 0.185 0.025 0.696
O 0.191 0.776 0.194
O 0.198 0.959 0.088
O 0.203 0.817 0.587
O 0.213 0.814 0.303
O 0.217 0.958 0.805
O 0.302 0.136 0.470
O 0.305 0.547 0.972
O 0.315 0.522 0.257
O 0.316 0.148 0.757
O 0.364 0.133 0.078
O 0.366 0.498 0.578
O 0.368 0.513 0.864
O 0.370 0.104 0.362
O 0.463 0.690 0.528
O 0.464 0.826 0.028
O 0.476 0.824 0.743
O 0.477 0.683 0.244
O 0.493 0.632 0.638
O 0.497 0.862 0.140
O 0.499 0.846 0.424
O 0.500 0.640 0.923
O 0.506 0.361 0.077
O 0.507 0.127 0.577
O 0.523 0.107 0.862
O 0.523 0.358 0.362
O 0.532 0.303 0.757
O 0.534 0.149 0.256
O 0.555 0.293 0.470
O 0.558 0.138 0.970
O 0.635 0.870 0.637
O 0.639 0.484 0.137
O 0.650 0.488 0.423
O 0.653 0.848 0.923
O 0.694 0.465 0.744
O 0.698 0.825 0.244
O 0.698 0.834 0.529
O 0.702 0.451 0.028
O 0.787 0.179 0.696
O 0.793 0.019 0.195
O 0.814 0.012 0.909
O 0.814 0.163 0.409
O 0.825 0.958 0.304
O 0.827 0.207 0.804
O 0.829 0.192 0.088
O 0.830 0.681 0.744
O 0.830 0.960 0.587
O 0.834 0.468 0.243
O 0.841 0.457 0.527
O 0.847 0.686 0.028
O 0.855 0.489 0.924
O 0.857 0.644 0.423
O 0.877 0.626 0.138
O 0.878 0.485 0.640
O 0.967 0.207 0.304
O 0.967 0.819 0.804
O 0.974 0.819 0.088
O 0.975 0.183 0.588



The following is a PBE calculation of an optimized crystal structure of NaZr2Ga2P3S3O24, from the Materials Project database.

Properties
Spin magnetization = 0.00 Bohr magnetons per cell
Energy of formation from the pure elements = -2.557 eV per atom

Lattice parameters (Å, degrees): 8.730 8.733 22.708 89.61 89.51 60.14
Fractional positions:
Na 0.000 0.000 0.000
Na 0.018 0.996 0.504
Na 0.347 0.335 0.842
Zr 0.341 0.323 0.190
Zr 0.349 0.322 0.693
Zr 0.667 0.662 0.524
Zr 0.676 0.659 0.814
Zr 0.678 0.652 0.318
Zr 0.690 0.653 0.024
Ga 0.018 0.994 0.359
Ga 0.023 0.985 0.654
Ga 0.328 0.329 0.481
Ga 0.346 0.324 0.984
Ga 0.996 0.986 0.856
Ga 0.999 0.003 0.146
P 0.062 0.314 0.085
P 0.286 0.717 0.754
P 0.327 0.047 0.585
P 0.373 0.656 0.421
P 0.635 0.043 0.084
P 0.677 0.357 0.920
P 0.735 0.992 0.752
P 0.976 0.359 0.420
P 0.982 0.656 0.919
S 0.008 0.272 0.753
S 0.009 0.720 0.253
S 0.056 0.623 0.585
S 0.288 0.991 0.252
S 0.333 0.625 0.086
S 0.375 0.960 0.920
S 0.639 0.314 0.584
S 0.677 0.961 0.419
S 0.732 0.271 0.254
O 0.034 0.802 0.591
O 0.036 0.798 0.307
O 0.040 0.165 0.807
O 0.044 0.148 0.094
O 0.135 0.515 0.638
O 0.141 0.348 0.141
O 0.155 0.345 0.427
O 0.163 0.025 0.593
O 0.163 0.488 0.928
O 0.166 0.541 0.247
O 0.168 0.297 0.748
O 0.168 0.542 0.532
O 0.174 0.798 0.809
O 0.174 0.801 0.094
O 0.177 0.288 0.031
O 0.181 0.023 0.306
O 0.190 0.824 0.412
O 0.199 0.977 0.913
O 0.210 0.963 0.200
O 0.215 0.820 0.697
O 0.302 0.545 0.034
O 0.304 0.161 0.530
O 0.307 0.529 0.748
O 0.309 0.150 0.247
O 0.360 0.129 0.640
O 0.362 0.135 0.925
O 0.363 0.515 0.140
O 0.364 0.490 0.432
O 0.458 0.849 0.973
O 0.460 0.697 0.473
O 0.468 0.836 0.260
O 0.473 0.691 0.762
O 0.488 0.877 0.867
O 0.491 0.643 0.079
O 0.492 0.631 0.365
O 0.495 0.863 0.576
O 0.509 0.342 0.927
O 0.519 0.134 0.428
O 0.524 0.128 0.141
O 0.528 0.349 0.638
O 0.544 0.158 0.747
O 0.550 0.163 0.031
O 0.552 0.295 0.247
O 0.554 0.291 0.532
O 0.646 0.477 0.865
O 0.648 0.876 0.366
O 0.649 0.862 0.078
O 0.656 0.476 0.579
O 0.703 0.449 0.974
O 0.711 0.830 0.760
O 0.711 0.844 0.472
O 0.712 0.450 0.260
O 0.805 0.033 0.807
O 0.810 0.164 0.307
O 0.816 0.159 0.592
O 0.822 0.019 0.093
O 0.838 0.975 0.411
O 0.839 0.196 0.200
O 0.839 0.970 0.695
O 0.847 0.177 0.913
O 0.850 0.699 0.260
O 0.852 0.449 0.474
O 0.853 0.451 0.759
O 0.861 0.690 0.974
O 0.877 0.478 0.079
O 0.880 0.638 0.577
O 0.886 0.479 0.365
O 0.891 0.630 0.865
O 0.981 0.825 0.199
O 0.983 0.199 0.699
O 0.987 0.178 0.412
O 0.997 0.824 0.914



The following is a PBE calculation of an optimized crystal structure of Na3Zr2Ga2P5SO24, from the Materials Project database.

Properties
Spin magnetization = 0.00 Bohr magnetons per cell
Energy of formation from the pure elements = -2.752 eV per atom

Lattice parameters (Å, degrees): 8.755 8.769 22.717 89.77 89.95 60.21
Fractional positions:
Na 0.000 0.000 0.000
Na 0.001 0.629 0.748
Na 0.330 0.330 0.330
Na 0.337 0.691 0.581
Na 0.344 0.323 0.831
Na 0.663 0.662 0.165
Na 0.670 0.658 0.664
Na 0.971 0.691 0.081
Na 0.999 0.001 0.500
Zr 0.016 0.987 0.352
Zr 0.331 0.330 0.478
Zr 0.334 0.325 0.183
Zr 0.338 0.329 0.978
Zr 0.342 0.319 0.682
Zr 0.998 0.994 0.852
Ga 0.013 0.986 0.146
Ga 0.672 0.648 0.811
Ga 0.672 0.659 0.312
Ga 0.675 0.650 0.016
Ga 0.676 0.649 0.516
Ga 0.999 0.999 0.647
P 0.033 0.627 0.581
P 0.037 0.321 0.080
P 0.299 0.706 0.746
P 0.302 0.981 0.246
P 0.338 0.024 0.580
P 0.341 0.625 0.081
P 0.395 0.656 0.414
P 0.637 0.026 0.081
P 0.641 0.321 0.580
P 0.670 0.379 0.914
P 0.715 0.985 0.747
P 0.948 0.380 0.413
P 0.951 0.657 0.914
P 0.995 0.705 0.246
P 0.997 0.284 0.746
S 0.390 0.939 0.914
S 0.670 0.941 0.414
S 0.718 0.284 0.247
O 0.022 0.157 0.090
O 0.026 0.791 0.301
O 0.028 0.804 0.588
O 0.032 0.171 0.802
O 0.119 0.511 0.637
O 0.123 0.360 0.134
O 0.138 0.353 0.419
O 0.138 0.493 0.919
O 0.156 0.292 0.026
O 0.159 0.538 0.528
O 0.161 0.309 0.741
O 0.163 0.522 0.241
O 0.169 0.802 0.088
O 0.174 0.005 0.588
O 0.179 0.787 0.800
O 0.185 0.019 0.301
O 0.205 0.818 0.409
O 0.209 0.962 0.909
O 0.212 0.958 0.192
O 0.216 0.813 0.690
O 0.302 0.540 0.027
O 0.307 0.144 0.526
O 0.311 0.523 0.741
O 0.319 0.149 0.241
O 0.367 0.121 0.919
O 0.369 0.111 0.634
O 0.369 0.493 0.419
O 0.370 0.506 0.135
O 0.466 0.836 0.968
O 0.468 0.688 0.471
O 0.483 0.685 0.755
O 0.484 0.819 0.255
O 0.493 0.864 0.860
O 0.502 0.631 0.358
O 0.502 0.841 0.573
O 0.505 0.642 0.072
O 0.508 0.353 0.920
O 0.512 0.121 0.419
O 0.517 0.360 0.634
O 0.518 0.114 0.135
O 0.532 0.151 0.741
O 0.539 0.302 0.242
O 0.549 0.144 0.026
O 0.550 0.294 0.526
O 0.638 0.488 0.858
O 0.642 0.866 0.360
O 0.646 0.493 0.573
O 0.657 0.842 0.073
O 0.697 0.461 0.253
O 0.698 0.459 0.970
O 0.698 0.837 0.468
O 0.700 0.819 0.755
O 0.795 0.175 0.300
O 0.796 0.019 0.802
O 0.819 0.156 0.588
O 0.821 0.006 0.089
O 0.824 0.203 0.194
O 0.827 0.965 0.408
O 0.832 0.684 0.255
O 0.834 0.193 0.909
O 0.834 0.952 0.693
O 0.838 0.471 0.753
O 0.842 0.458 0.470
O 0.844 0.687 0.971
O 0.853 0.641 0.572
O 0.860 0.493 0.074
O 0.870 0.489 0.357
O 0.871 0.632 0.857
O 0.969 0.814 0.190
O 0.970 0.199 0.692
O 0.971 0.193 0.408
O 0.977 0.819 0.909